# PtPb GGA-PBE optimized geometry
# Energy (eV/atom): -4.850
# Formation energy (eV/atom): 0.04
# Space group: P6_3/mmc, No. 194
data_PtPb
_chemical_formula_sum 'Pt2 Pb2'
_cell_length_a 3.874
_cell_length_b 3.874
_cell_length_c 7.229
_cell_angle_alpha 90.00
_cell_angle_beta 90.00
_cell_angle_gamma 120.00
_space_group_name_H-M_alt 'P 1'
_space_group_IT_number 1
loop_
_space_group_symop_operation_xyz
'x,y,z'
loop_
_atom_site_label
_atom_site_fract_x
_atom_site_fract_y
_atom_site_fract_z
Pt1 0.333 0.667 0.250
Pt2 0.667 0.333 0.750
Pb1 0.000 0.000 0.000
Pb2 0.000 0.000 0.500